# 1
VASP calculation (r2SCAN) on crystalline Rb2Bi4Se7 at its relaxed geometry.

- Calculated formation energy: -0.738 eV/atom
- Energy: -743.30 eV for the cell shown
- Volume: 32.60 A^3/atom
- Space group: P2_1/m

Cell: 4.235 13.176 15.214 Å, 86.91 90.00 90.00°
Fractional coordinates of all 26 atoms:
Rb: 0.250 0.563 0.814
Rb: 0.750 0.437 0.186
Rb: 0.750 0.825 0.624
Rb: 0.250 0.175 0.376
Bi: 0.250 0.836 0.279
Bi: 0.750 0.164 0.721
Bi: 0.750 0.608 0.430
Bi: 0.250 0.392 0.570
Bi: 0.750 0.730 0.049
Bi: 0.250 0.270 0.951
Bi: 0.250 0.941 0.876
Bi: 0.750 0.059 0.124
Se: 0.250 0.594 0.037
Se: 0.750 0.406 0.963
Se: 0.750 0.994 0.302
Se: 0.250 0.006 0.698
Se: 0.750 0.693 0.241
Se: 0.250 0.307 0.759
Se: 0.750 0.789 0.856
Se: 0.250 0.211 0.144
Se: 0.250 0.906 0.084
Se: 0.750 0.094 0.916
Se: 0.250 0.759 0.459
Se: 0.750 0.241 0.541
Se: 0.250 0.458 0.388
Se: 0.750 0.542 0.612


# 2
VASP calculation (r2SCAN) on crystalline RbBi3Se5 at its relaxed geometry.

- Calculated formation energy: -0.662 eV/atom
- Energy: -1067.81 eV for the cell shown
- Volume: 32.00 A^3/atom
- Space group: Pnma

Cell: 4.166 12.465 22.180 Å, 90.00 90.00 90.00°
Fractional coordinates of all 36 atoms:
Rb: 0.250 0.490 0.212
Rb: 0.750 0.510 0.788
Rb: 0.750 0.990 0.288
Rb: 0.250 0.010 0.712
Bi: 0.250 0.364 0.025
Bi: 0.750 0.636 0.975
Bi: 0.750 0.864 0.475
Bi: 0.250 0.136 0.525
Bi: 0.250 0.803 0.127
Bi: 0.750 0.197 0.873
Bi: 0.750 0.303 0.373
Bi: 0.250 0.697 0.627
Bi: 0.250 0.593 0.424
Bi: 0.750 0.407 0.576
Bi: 0.750 0.093 0.076
Bi: 0.250 0.907 0.924
Se: 0.250 0.806 0.385
Se: 0.750 0.194 0.615
Se: 0.750 0.306 0.115
Se: 0.250 0.694 0.885
Se: 0.250 0.248 0.296
Se: 0.750 0.752 0.704
Se: 0.750 0.748 0.204
Se: 0.250 0.252 0.796
Se: 0.250 0.361 0.480
Se: 0.750 0.639 0.520
Se: 0.750 0.861 0.020
Se: 0.250 0.139 0.980
Se: 0.250 0.025 0.159
Se: 0.750 0.975 0.841
Se: 0.750 0.525 0.341
Se: 0.250 0.475 0.659
Se: 0.250 0.584 0.064
Se: 0.750 0.416 0.936
Se: 0.750 0.084 0.436
Se: 0.250 0.916 0.564


# 3
VASP calculation (r2SCAN) on crystalline Bi3Rh at its relaxed geometry.

- Calculated formation energy: -0.120 eV/atom
- Energy: -800.50 eV for the cell shown
- Volume: 27.77 A^3/atom
- Space group: Pnma

Cell: 4.281 8.901 11.662 Å, 90.00 90.00 90.00°
Fractional coordinates of all 16 atoms:
Bi: 0.250 0.398 0.590
Bi: 0.250 0.810 0.615
Bi: 0.750 0.104 0.673
Bi: 0.750 0.604 0.827
Bi: 0.750 0.102 0.090
Bi: 0.250 0.396 0.173
Bi: 0.250 0.310 0.885
Bi: 0.250 0.898 0.910
Bi: 0.250 0.896 0.327
Bi: 0.750 0.690 0.115
Bi: 0.750 0.602 0.410
Bi: 0.750 0.190 0.385
Rh: 0.250 0.603 0.981
Rh: 0.250 0.103 0.519
Rh: 0.750 0.897 0.481
Rh: 0.750 0.397 0.019


# 4
VASP calculation (r2SCAN) on crystalline Bi4Rh at its relaxed geometry.

- Calculated formation energy: -0.121 eV/atom
- Energy: -3105.02 eV for the cell shown
- Volume: 28.97 A^3/atom
- Space group: Ia-3d

Cell: 13.120 13.120 13.120 Å, 109.47 109.47 109.47°
Fractional coordinates of all 60 atoms:
Bi: 0.586 0.912 0.370
Bi: 0.459 0.588 0.175
Bi: 0.175 0.459 0.588
Bi: 0.216 0.130 0.041
Bi: 0.325 0.912 0.041
Bi: 0.284 0.325 0.914
Bi: 0.041 0.325 0.912
Bi: 0.912 0.370 0.586
Bi: 0.912 0.041 0.325
Bi: 0.370 0.284 0.459
Bi: 0.586 0.175 0.216
Bi: 0.588 0.914 0.130
Bi: 0.412 0.825 0.541
Bi: 0.825 0.784 0.414
Bi: 0.870 0.412 0.086
Bi: 0.086 0.870 0.412
Bi: 0.541 0.630 0.716
Bi: 0.716 0.541 0.630
Bi: 0.784 0.414 0.825
Bi: 0.870 0.959 0.784
Bi: 0.086 0.716 0.675
Bi: 0.630 0.414 0.088
Bi: 0.959 0.784 0.870
Bi: 0.675 0.086 0.716
Bi: 0.414 0.088 0.630
Bi: 0.541 0.412 0.825
Bi: 0.825 0.541 0.412
Bi: 0.784 0.870 0.959
Bi: 0.675 0.088 0.959
Bi: 0.716 0.675 0.086
Bi: 0.959 0.675 0.088
Bi: 0.088 0.630 0.414
Bi: 0.088 0.959 0.675
Bi: 0.630 0.716 0.541
Bi: 0.414 0.825 0.784
Bi: 0.412 0.086 0.870
Bi: 0.325 0.914 0.284
Bi: 0.041 0.216 0.130
Bi: 0.370 0.586 0.912
Bi: 0.914 0.284 0.325
Bi: 0.130 0.041 0.216
Bi: 0.216 0.586 0.175
Bi: 0.284 0.459 0.370
Bi: 0.459 0.370 0.284
Bi: 0.914 0.130 0.588
Bi: 0.130 0.588 0.914
Bi: 0.175 0.216 0.586
Bi: 0.588 0.175 0.459
Rh: 0.250 0.875 0.625
Rh: 0.875 0.625 0.250
Rh: 0.625 0.875 0.750
Rh: 0.875 0.750 0.625
Rh: 0.625 0.250 0.875
Rh: 0.750 0.625 0.875
Rh: 0.750 0.125 0.375
Rh: 0.125 0.375 0.750
Rh: 0.375 0.125 0.250
Rh: 0.125 0.250 0.375
Rh: 0.375 0.750 0.125
Rh: 0.250 0.375 0.125